First-principles (PBE) data for an optimized crystal structure of Na4MgCu2O4, as listed in the Materials Project.

Unit cell a=5.987 b=5.987 c=10.384 alpha=80.65 beta=80.65 gamma=30.72
Positions (direct):
1 O 0.494 0.494 0.645
2 Na 0.538 0.538 0.418
3 Cu 0.180 0.180 0.962
4 Na 0.138 0.138 0.681
5 O 0.568 0.568 0.989
6 O 0.094 0.094 0.258
7 Mg 0.652 0.652 0.156
8 Cu 0.897 0.897 0.637
9 O 0.790 0.790 0.005
10 Na 0.945 0.945 0.114
11 Na 0.416 0.416 0.876

***

First-principles (PBE) data for an optimized crystal structure of Na4MgCu2O4, as listed in the Materials Project.

Unit cell a=2.937 b=5.265 c=10.278 alpha=98.20 beta=90.00 gamma=90.00
Positions (direct):
1 Na 0.750 0.741 0.965
2 Na 0.250 0.096 0.515
3 O 0.750 0.115 0.327
4 O 0.250 0.672 0.560
5 Cu 0.250 0.893 0.247
6 Na 0.750 0.554 0.395
7 Na 0.250 0.331 0.136
8 Mg 0.750 0.641 0.685
9 O 0.250 0.495 0.807
10 O 0.750 0.663 0.175
11 Cu 0.750 0.227 0.836

***

First-principles (PBE) data for an optimized crystal structure of Na2MgCu2O4, as listed in the Materials Project.

Unit cell a=3.195 b=6.728 c=5.911 alpha=100.41 beta=74.32 gamma=90.00
Positions (direct):
1 Na 0.732 0.754 0.536
2 Cu 0.994 0.180 0.011
3 O 0.893 0.433 0.213
4 Mg 0.500 0.500 0.000
5 Na 0.268 0.246 0.464
6 O 0.107 0.567 0.787
7 O 0.872 0.012 0.255
8 O 0.128 0.988 0.745
9 Cu 0.006 0.820 0.989

***

First-principles (PBE) data for an optimized crystal structure of Na7MgCu3O8, as listed in the Materials Project.

Unit cell a=5.787 b=6.719 c=7.744 alpha=107.90 beta=114.14 gamma=87.82
Positions (direct):
1 Na 0.556 0.157 0.701
2 Na 0.247 0.395 0.947
3 O 0.573 0.140 0.374
4 O 0.642 0.546 0.297
5 Mg 0.462 0.980 0.089
6 O 0.409 0.484 0.736
7 Cu 0.767 0.283 0.252
8 Cu 0.266 0.737 0.751
9 O 0.360 0.801 0.576
10 O 0.152 0.739 0.961
11 Na 0.295 0.395 0.384
12 O 0.926 0.297 0.065
13 Na 0.766 0.601 0.057
14 O 0.179 0.030 0.840
15 Na 0.955 0.962 0.484
16 Na 0.727 0.613 0.642
17 Cu 0.993 0.011 0.996
18 O 0.831 0.971 0.153
19 Na 0.359 0.786 0.301

***

First-principles (PBE) data for an optimized crystal structure of Na2MgCu2O4, as listed in the Materials Project.

Unit cell a=2.901 b=5.461 c=8.192 alpha=73.18 beta=89.98 gamma=105.42
Positions (direct):
1 Cu 0.167 0.333 0.918
2 Mg 0.952 0.903 0.772
3 Cu 0.844 0.686 0.499
4 O 0.428 0.854 0.604
5 O 0.551 0.101 0.870
6 O 0.774 0.547 0.969
7 Na 0.617 0.232 0.378
8 Na 0.370 0.740 0.112
9 O 0.276 0.551 0.393

***

First-principles (PBE) data for an optimized crystal structure of Na7MgCu3O8, as listed in the Materials Project.

Unit cell a=5.864 b=6.129 c=7.972 alpha=110.97 beta=107.62 gamma=92.15
Positions (direct):
1 Na 0.403 0.830 0.200
2 Na 0.866 0.892 0.462
3 Na 0.254 0.351 0.926
4 Na 0.709 0.595 0.637
5 O 0.003 0.020 0.264
6 O 0.592 0.537 0.252
7 O 0.338 0.878 0.585
8 Cu 0.753 0.270 0.265
9 Na 0.780 0.620 0.055
10 O 0.394 0.467 0.719
11 O 0.080 0.690 0.931
12 O 0.602 0.184 0.426
13 Na 0.268 0.502 0.350
14 Cu 0.229 0.745 0.747
15 O 0.016 0.984 0.785
16 Cu 0.007 0.999 0.020
17 Na 0.688 0.165 0.770
18 Mg 0.305 0.152 0.501
19 O 0.916 0.296 0.088

***

Polymorph energy (0 for the lowest one) values, unit meV/atom, following the record order: 89.5 82.1 126.4 48.0 0.0 0.0.
Total energy after the MP2020 corrections values, unit eV/f.u., following the record order: -49.2 -49.3 -45.0 -89.8 -46.1 -90.7.
DFT formation energy values, unit kJ per mole of atoms, following the record order: -125.67 -126.38 -136.64 -137.22 -148.84 -141.85.